[1]
Below is a relaxed structure of Co2SiO4, with properties calculated at the r²SCAN level.

Structure (POSCAR):
```
Co2SiO4
1.0
-5.4880 8.3609 -2.1317
-3.9971 -2.6295 -0.0229
-4.6776 -1.5872 5.8168
Co Si O
8 4 16
Cartesian
-10.5137 2.8841 2.7794
-2.7440 4.1805 -1.0658
-8.4412 4.0835 -0.2324
-5.7214 0.0607 3.8945
-2.3388 -0.7936 2.9084
-3.6490 1.2601 0.8827
-7.0813 2.0721 1.8311
-1.9986 -1.3147 -0.0115
-8.4483 0.4158 3.4852
-5.7143 3.7284 0.1770
-4.4018 -1.3924 1.2401
-9.7608 5.5365 2.4220
-12.4127 3.8205 2.4024
-4.0592 -0.6445 -0.1781
-8.5123 6.1047 -0.5843
-5.6503 -1.9605 4.2464
-10.1034 4.7887 3.8403
-8.6913 2.0206 3.1630
-9.8308 4.3489 1.2896
-4.3318 -0.2047 2.3726
-5.8225 2.1714 3.4947
-7.6298 0.4630 4.9084
-6.5329 3.6812 -1.2462
-5.4713 2.1236 0.4991
-7.3294 -0.0191 2.3684
-1.7499 0.3237 1.2598
-8.3402 1.9728 0.1674
-6.8332 4.1633 1.2937
```

Summary:
For the raw total energy, the calculation gives -10.3873 eV per atom. The space group is P2_1/c (14). The mass density comes out at 4.77 g/cm3. The value obtained for the formation energy is -1940 meV per atom.

***

[2]
Below is a relaxed structure of Sr4Bi2O, with properties calculated at the r²SCAN level.

Structure (POSCAR):
```
Sr4Bi2O
1.0
-3.8707 0.3270 -3.2039
3.1462 -0.6866 -3.8710
-0.8397 -8.5133 4.1024
Sr Bi O
4 2 1
Cartesian
-0.4008 -2.8989 0.1884
-1.1634 -5.9740 -3.1609
1.5731 -0.3433 -1.9355
-1.9353 0.1635 -1.6020
-0.8677 -6.2756 0.4079
-0.6965 -2.5974 -3.3803
0.0000 0.0000 0.0000
```

Summary:
For the raw total energy, the calculation gives -27.8997 eV per atom. The space group is I4/mmm (139). Its energy above the most stable polymorph in this dataset is 0.2 kJ per mole of atoms. The mass density comes out at 5.84 g/cm3. The value obtained for the formation energy is -1677 meV per atom.

***

[3]
Below is a relaxed structure of Zr5Ge3, with properties calculated at the r²SCAN level.

Structure (POSCAR):
```
Zr5Ge3
1.0
-2.9379 3.3616 6.7313
-2.4363 -7.3717 -2.2281
4.1906 -2.2823 2.9688
Zr Ge
10 6
Cartesian
1.3258 -7.2102 0.5647
0.4286 -2.4438 0.1760
-2.9609 -3.5617 4.1011
0.9516 0.7957 7.2474
1.7773 -2.7307 3.3709
0.3011 0.2837 2.4527
-0.5082 -4.9351 2.2428
-2.7707 -0.2162 3.7448
-0.6754 -1.3573 5.2292
-2.6035 -3.7939 0.7584
2.0029 -0.4072 4.8387
-1.0378 -2.1267 2.4897
-0.4432 -5.0816 -0.6213
2.1976 -4.5723 1.3620
-0.1458 -4.1657 4.9823
-0.7502 1.4866 4.8614
```

Summary:
For the raw total energy, the calculation gives -20.2991 eV per atom. The space group is P6_3/mcm (193). The mass density comes out at 7.05 g/cm3. The value obtained for the formation energy is -878 meV per atom.

***

[4]
Below is a relaxed structure of ReB3, with properties calculated at the r²SCAN level.

Structure (POSCAR):
```
ReB3
1.0
-2.4820 -0.1809 1.8975
-0.3506 -0.4285 -3.0801
1.2277 -7.4444 0.8960
Re B
2 6
Cartesian
-0.8508 -5.8467 0.9103
-0.7541 -2.2071 -1.1969
0.6138 -3.7222 0.4480
0.0000 0.0000 0.0000
-0.3781 -4.4876 -0.9224
-1.7023 -0.6829 0.2888
-1.2269 -3.5662 0.6358
0.0974 -7.3709 -0.5754
```

Summary:
For the raw total energy, the calculation gives -17.7982 eV per atom. The space group is P6_3/mmc (194). The mass density comes out at 11.27 g/cm3. The value obtained for the formation energy is 814 meV per atom.

***

[5]
Below is a relaxed structure of EuGa2As2, with properties calculated at the r²SCAN level.

Structure (POSCAR):
```
EuGa2As2
1.0
0.0000 -4.0458 0.0000
-9.4433 0.0000 0.8667
-0.0155 0.0000 -12.4322
Eu Ga As
4 8 8
Cartesian
-1.9028 0.0000 -3.2530
-7.5560 0.0000 -8.3125
-4.7294 -2.0229 -5.7827
0.0000 -2.0229 0.0000
-3.7642 -2.0229 -0.3330
-5.6947 -2.0229 -11.2324
-8.4237 -2.0229 -4.6691
-1.0352 -2.0229 -6.8963
-7.6210 0.0000 -1.4897
-1.8379 0.0000 -10.0757
-5.7229 0.0000 -2.9828
-3.7359 0.0000 -8.5826
-2.4838 0.0000 -6.3689
-6.9751 0.0000 -5.1966
-8.9957 -2.0229 -2.1854
-0.4631 -2.0229 -9.3801
-2.2668 0.0000 -0.1113
-7.1920 0.0000 -11.4541
-4.2267 -2.0229 -2.7993
-5.2322 -2.0229 -8.7662
```

Summary:
For the raw total energy, the calculation gives -18.9532 eV per atom. The space group is P2/m (10). The mass density comes out at 6.17 g/cm3. The value obtained for the formation energy is -789 meV per atom.

***

[6]
Below is a relaxed structure of TiP2O7, with properties calculated at the r²SCAN level.

Structure (POSCAR):
```
TiP2O7
1.0
-0.2098 7.9811 0.4496
-4.0414 0.0444 -2.6743
-5.3095 -0.3945 4.5256
Ti P O
2 4 14
Cartesian
-7.1677 4.1259 1.4469
-2.3085 0.2913 0.6729
-5.3284 6.7337 1.0461
-3.7268 2.2848 -1.4097
-5.8496 5.9446 3.7442
-4.2806 2.7376 1.3584
-8.5034 5.5648 1.4825
-8.3951 2.8141 2.1089
-6.0526 7.7792 0.2352
-5.8121 5.3333 0.7377
-5.7886 2.7535 1.4868
-6.6650 4.7744 3.2229
-5.7171 7.0132 2.5661
-3.9116 3.2060 -0.1194
-2.8497 1.1077 -1.0206
-3.8237 6.8428 0.9248
-3.7233 1.3388 1.5091
-3.6098 3.7221 2.2837
-1.2258 7.1093 0.3211
-1.0501 1.7930 0.8030
```

Summary:
For the raw total energy, the calculation gives -9.9759 eV per atom. The space group is P2_1 (4). Its energy above the most stable polymorph in this dataset is 0.7 kJ per mole of atoms. The mass density comes out at 2.83 g/cm3. The value obtained for the formation energy is -2701 meV per atom.

***

[7]
Below is a relaxed structure of CeGa3Pd2, with properties calculated at the r²SCAN level.

Structure (POSCAR):
```
CeGa3Pd2
1.0
-5.2204 0.6504 1.1260
2.0105 -4.9442 -0.6752
0.8738 -0.2149 4.1752
Ce Ga Pd
1 3 2
Cartesian
0.0000 0.0000 0.0000
1.4422 -2.5796 1.7500
-2.1733 0.2177 2.6506
-1.1680 -2.2544 2.3130
-2.8101 -1.2145 0.5256
-0.3998 -3.0794 -0.0748
```

Summary:
For the raw total energy, the calculation gives -19.2775 eV per atom. The space group is P6/mmm (191). The mass density comes out at 8.72 g/cm3. The value obtained for the formation energy is -763 meV per atom.

***

[8]
Below is a relaxed structure of Ba6Cu11F34, with properties calculated at the r²SCAN level.

Structure (POSCAR):
```
Ba6Cu11F34
1.0
-2.7961 3.4248 5.9883
-6.7651 -5.9221 4.3686
5.8710 -2.8576 7.8914
Ba Cu F
6 11 34
Cartesian
-0.5970 -4.3327 14.5844
-3.0931 -1.0222 3.6640
-6.2584 -3.9968 10.0228
2.5682 -1.3581 8.2255
-2.8233 -4.0609 6.8000
-0.8668 -1.2940 11.4483
0.4785 0.0608 2.6018
-4.1687 -5.4156 15.6466
-5.1997 -4.1470 4.0533
1.5096 -1.2079 14.1951
-1.6202 -5.4557 10.7699
-2.0700 0.1008 7.4784
-3.4621 -3.6457 12.5558
-0.2280 -1.7092 5.6925
-4.0378 -1.1056 9.4340
0.3477 -4.2493 8.8143
2.9355 -1.4288 3.9457
-1.5288 -4.3307 9.2166
-2.1614 -1.0242 9.0317
-3.8802 -4.9742 11.2376
0.1901 -0.3806 7.0107
0.7965 0.2096 9.8358
-4.4866 -5.5645 8.4125
-3.2197 -5.0032 13.9090
-0.4704 -0.3516 4.3394
1.3709 0.0996 12.7458
-5.0610 -5.4545 5.5025
-5.8391 -1.2313 9.9828
2.1490 -4.1236 8.2656
-1.2499 -3.9663 11.8925
-2.4403 -1.3886 6.3558
-5.6296 -3.3798 12.7530
1.9395 -1.9751 5.4954
-4.6082 0.3922 7.7740
-4.4157 -2.5888 8.3226
0.7256 -2.7661 9.9258
-6.6059 -4.0585 7.3131
2.9158 -1.2964 10.9353
-1.1645 -2.9248 4.5161
-2.5256 -2.4300 13.7322
-1.9584 -6.9956 9.6726
-1.7317 1.6407 8.5757
-2.3154 -4.9885 16.6718
-1.3747 -0.3663 1.5766
-4.6510 -2.7591 5.2422
0.9609 -2.5958 13.0061
-0.1086 -3.1487 6.9343
-3.5815 -2.2062 11.3140
-2.1936 1.2263 5.9851
-1.4965 -6.5812 12.2632
0.9180 -5.7470 10.4744
```

Summary:
For the raw total energy, the calculation gives -10.1985 eV per atom. The space group is P-1 (2). The mass density comes out at 5.22 g/cm3. The value obtained for the formation energy is -2657 meV per atom.